Entry 1:
A relaxed TbNi3Sn2 crystal. Source: the Materials Project database, functional GGA-PBE.

Values from the calculation:
SG = Amm2, No. 38

a = 4.2396 Å, b = 9.2855 Å, c = 9.2855 Å
α = 119.94°, β = 90.00°, γ = 90.00°
Positions (direct):
Tb: 0.0000 0.0000 0.0000
Tb: 0.5000 0.3330 0.6663
Tb: 0.5000 0.6663 0.3330
Ni: 0.0000 0.1681 0.3726
Ni: 0.0000 0.2036 0.8310
Ni: 0.0000 0.3726 0.1681
Ni: 0.0000 0.6270 0.7953
Ni: 0.0000 0.7953 0.6270
Ni: 0.0000 0.8310 0.2036
Ni: 0.5000 0.9998 0.7016
Ni: 0.5000 0.2977 0.2977
Ni: 0.5000 0.7016 0.9998
Sn: 0.0000 0.9995 0.5266
Sn: 0.0000 0.4726 0.4726
Sn: 0.0000 0.5266 0.9995
Sn: 0.5000 0.9997 0.2527
Sn: 0.5000 0.2527 0.9997
Sn: 0.5000 0.7469 0.7469

Entry 2:
A relaxed Sr crystal. Source: the Materials Project database, functional GGA-PBE.

Values from the calculation:
SG = R-3m, No. 166

a = 10.7282 Å, b = 10.7282 Å, c = 10.7282 Å
α = 22.83°, β = 22.83°, γ = 22.83°
Positions (direct):
Sr: 0.0000 0.0000 0.0000
Sr: 0.2224 0.2224 0.2224
Sr: 0.7776 0.7776 0.7776

| no. | calculated formation energy (eV per atom) |
| --- | --- |
| 1 | -0.45 |
| 2 | 0.00 |